Computed, not measured: an optimized crystal structure of Mn2PH2CO7 at the PBE+U level of DFT.

Unit cell a=10.345 b=6.594 c=10.175 alpha=90.00 beta=116.49 gamma=90.00
Fractional coordinates of all 52 atoms:
Mn: 0.116 0.146 0.474
Mn: 0.116 0.354 0.974
Mn: 0.235 0.526 0.733
Mn: 0.235 0.974 0.233
Mn: 0.765 0.026 0.767
Mn: 0.765 0.474 0.267
Mn: 0.884 0.646 0.026
Mn: 0.884 0.854 0.526
P: 0.102 0.651 0.395
P: 0.102 0.849 0.895
P: 0.898 0.151 0.105
P: 0.898 0.349 0.605
H: 0.266 0.044 0.779
H: 0.266 0.456 0.279
H: 0.378 0.122 0.722
H: 0.378 0.378 0.222
H: 0.622 0.622 0.778
H: 0.622 0.878 0.278
H: 0.734 0.544 0.721
H: 0.734 0.956 0.221
C: 0.459 0.046 0.542
C: 0.459 0.454 0.042
C: 0.541 0.546 0.958
C: 0.541 0.954 0.458
O: 0.045 0.099 0.239
O: 0.045 0.401 0.739
O: 0.078 0.673 0.985
O: 0.078 0.827 0.485
O: 0.157 0.033 0.003
O: 0.157 0.467 0.503
O: 0.214 0.701 0.338
O: 0.214 0.799 0.838
O: 0.282 0.151 0.718
O: 0.282 0.349 0.218
O: 0.328 0.090 0.463
O: 0.328 0.410 0.963
O: 0.472 0.570 0.821
O: 0.472 0.930 0.321
O: 0.528 0.070 0.679
O: 0.528 0.430 0.179
O: 0.672 0.590 0.037
O: 0.672 0.910 0.537
O: 0.718 0.651 0.782
O: 0.718 0.849 0.282
O: 0.786 0.201 0.162
O: 0.786 0.299 0.662
O: 0.843 0.533 0.497
O: 0.843 0.967 0.997
O: 0.922 0.173 0.515
O: 0.922 0.327 0.015
O: 0.955 0.599 0.261
O: 0.955 0.901 0.761

Space-group type   No. 14


Computed, not measured: an optimized crystal structure of MnPH5CO4 at the PBE+U level of DFT.

Unit cell a=17.706 b=4.934 c=5.889 alpha=90.00 beta=90.00 gamma=90.00
Fractional coordinates of all 48 atoms:
Mn: 0.237 0.167 0.000
Mn: 0.263 0.667 0.500
Mn: 0.737 0.333 0.000
Mn: 0.763 0.833 0.500
P: 0.152 0.226 0.500
P: 0.348 0.726 0.000
P: 0.652 0.274 0.500
P: 0.848 0.774 0.000
H: 0.022 0.188 0.625
H: 0.031 0.218 0.324
H: 0.043 0.511 0.500
H: 0.145 0.740 0.138
H: 0.147 0.731 0.871
H: 0.353 0.231 0.371
H: 0.355 0.240 0.638
H: 0.457 0.011 0.000
H: 0.469 0.718 0.824
H: 0.478 0.688 0.125
H: 0.522 0.312 0.625
H: 0.531 0.282 0.324
H: 0.543 0.989 0.500
H: 0.645 0.760 0.138
H: 0.647 0.769 0.871
H: 0.853 0.269 0.371
H: 0.855 0.260 0.638
H: 0.957 0.489 0.000
H: 0.969 0.782 0.824
H: 0.978 0.812 0.125
C: 0.052 0.291 0.488
C: 0.448 0.791 0.988
C: 0.552 0.209 0.488
C: 0.948 0.709 0.988
O: 0.143 0.855 0.001
O: 0.165 0.919 0.502
O: 0.187 0.370 0.713
O: 0.189 0.369 0.290
O: 0.311 0.869 0.790
O: 0.313 0.870 0.213
O: 0.335 0.419 0.002
O: 0.357 0.355 0.501
O: 0.643 0.645 0.001
O: 0.665 0.581 0.502
O: 0.687 0.130 0.713
O: 0.689 0.131 0.290
O: 0.811 0.631 0.790
O: 0.813 0.630 0.213
O: 0.835 0.081 0.002
O: 0.857 0.145 0.501

Space-group type   No. 33


Computed, not measured: an optimized crystal structure of Mo2H5C5N3O14 at the PBE+U level of DFT.

Unit cell a=7.735 b=18.322 c=12.266 alpha=90.00 beta=90.00 gamma=90.00
Fractional coordinates of all 116 atoms:
Mo: 0.204 0.169 0.029
Mo: 0.204 0.331 0.029
Mo: 0.296 0.669 0.529
Mo: 0.296 0.831 0.529
Mo: 0.704 0.169 0.471
Mo: 0.704 0.331 0.471
Mo: 0.796 0.669 0.971
Mo: 0.796 0.831 0.971
H: 0.054 0.041 0.781
H: 0.054 0.459 0.781
H: 0.091 0.153 0.289
H: 0.091 0.347 0.289
H: 0.202 0.250 0.419
H: 0.298 0.750 0.919
H: 0.409 0.653 0.789
H: 0.409 0.847 0.789
H: 0.446 0.541 0.281
H: 0.446 0.959 0.281
H: 0.554 0.041 0.719
H: 0.554 0.459 0.719
H: 0.591 0.153 0.211
H: 0.591 0.347 0.211
H: 0.702 0.250 0.081
H: 0.798 0.750 0.581
H: 0.909 0.653 0.711
H: 0.909 0.847 0.711
H: 0.946 0.541 0.219
H: 0.946 0.959 0.219
C: 0.122 0.099 0.254
C: 0.122 0.401 0.254
C: 0.129 0.088 0.811
C: 0.129 0.412 0.811
C: 0.155 0.750 0.928
C: 0.345 0.250 0.428
C: 0.371 0.588 0.311
C: 0.371 0.912 0.311
C: 0.378 0.599 0.754
C: 0.378 0.901 0.754
C: 0.622 0.099 0.246
C: 0.622 0.401 0.246
C: 0.629 0.088 0.689
C: 0.629 0.412 0.689
C: 0.655 0.750 0.572
C: 0.845 0.250 0.072
C: 0.871 0.588 0.189
C: 0.871 0.912 0.189
C: 0.878 0.599 0.746
C: 0.878 0.901 0.746
N: 0.064 0.750 0.275
N: 0.227 0.055 0.547
N: 0.227 0.445 0.547
N: 0.273 0.555 0.047
N: 0.273 0.945 0.047
N: 0.436 0.250 0.775
N: 0.564 0.750 0.225
N: 0.727 0.055 0.953
N: 0.727 0.445 0.953
N: 0.773 0.555 0.453
N: 0.773 0.945 0.453
N: 0.936 0.250 0.725
O: 0.081 0.653 0.506
O: 0.081 0.847 0.506
O: 0.083 0.688 0.932
O: 0.083 0.812 0.932
O: 0.105 0.042 0.305
O: 0.105 0.458 0.305
O: 0.107 0.102 0.915
O: 0.107 0.398 0.915
O: 0.162 0.250 0.932
O: 0.181 0.101 0.153
O: 0.181 0.399 0.153
O: 0.221 0.124 0.748
O: 0.221 0.376 0.748
O: 0.228 0.250 0.132
O: 0.272 0.750 0.632
O: 0.279 0.624 0.248
O: 0.279 0.876 0.248
O: 0.319 0.601 0.653
O: 0.319 0.899 0.653
O: 0.338 0.750 0.432
O: 0.393 0.602 0.415
O: 0.393 0.898 0.415
O: 0.395 0.542 0.805
O: 0.395 0.958 0.805
O: 0.417 0.188 0.432
O: 0.417 0.312 0.432
O: 0.419 0.153 0.006
O: 0.419 0.347 0.006
O: 0.581 0.653 0.994
O: 0.581 0.847 0.994
O: 0.583 0.688 0.568
O: 0.583 0.812 0.568
O: 0.605 0.042 0.195
O: 0.605 0.458 0.195
O: 0.607 0.102 0.585
O: 0.607 0.398 0.585
O: 0.662 0.250 0.568
O: 0.681 0.101 0.347
O: 0.681 0.399 0.347
O: 0.721 0.124 0.752
O: 0.721 0.376 0.752
O: 0.728 0.250 0.368
O: 0.772 0.750 0.868
O: 0.779 0.624 0.252
O: 0.779 0.876 0.252
O: 0.819 0.601 0.847
O: 0.819 0.899 0.847
O: 0.838 0.750 0.068
O: 0.893 0.602 0.085
O: 0.893 0.898 0.085
O: 0.895 0.542 0.695
O: 0.895 0.958 0.695
O: 0.917 0.188 0.068
O: 0.917 0.312 0.068
O: 0.919 0.153 0.494
O: 0.919 0.347 0.494

Space-group type   No. 62


Computed, not measured: an optimized crystal structure of MoH4CN2O4 at the PBE+U level of DFT.

Unit cell a=7.818 b=7.543 c=13.170 alpha=90.00 beta=91.76 gamma=90.00
Fractional coordinates of all 72 atoms:
Mo: 0.000 0.014 0.250
Mo: 0.000 0.986 0.750
Mo: 0.331 0.249 0.661
Mo: 0.331 0.751 0.161
Mo: 0.669 0.249 0.839
Mo: 0.669 0.751 0.339
H: 0.139 0.090 0.984
H: 0.139 0.910 0.484
H: 0.144 0.288 0.052
H: 0.144 0.712 0.552
H: 0.198 0.440 0.339
H: 0.198 0.560 0.839
H: 0.214 0.453 0.471
H: 0.214 0.547 0.971
H: 0.462 0.357 0.164
H: 0.462 0.643 0.664
H: 0.476 0.161 0.095
H: 0.476 0.839 0.595
H: 0.524 0.161 0.405
H: 0.524 0.839 0.905
H: 0.538 0.357 0.336
H: 0.538 0.643 0.836
H: 0.786 0.453 0.029
H: 0.786 0.547 0.529
H: 0.802 0.440 0.161
H: 0.802 0.560 0.661
H: 0.856 0.288 0.448
H: 0.856 0.712 0.948
H: 0.861 0.090 0.516
H: 0.861 0.910 0.016
C: 0.176 0.312 0.898
C: 0.176 0.688 0.398
C: 0.500 0.134 0.250
C: 0.500 0.866 0.750
C: 0.824 0.312 0.602
C: 0.824 0.688 0.102
N: 0.141 0.224 0.984
N: 0.141 0.776 0.484
N: 0.217 0.484 0.902
N: 0.217 0.516 0.402
N: 0.463 0.222 0.164
N: 0.463 0.778 0.664
N: 0.537 0.222 0.336
N: 0.537 0.778 0.836
N: 0.783 0.484 0.598
N: 0.783 0.516 0.098
N: 0.859 0.224 0.516
N: 0.859 0.776 0.016
O: 0.119 0.156 0.328
O: 0.119 0.844 0.828
O: 0.162 0.063 0.649
O: 0.162 0.937 0.149
O: 0.170 0.229 0.812
O: 0.170 0.771 0.312
O: 0.218 0.440 0.623
O: 0.218 0.560 0.123
O: 0.445 0.197 0.554
O: 0.445 0.803 0.054
O: 0.500 0.038 0.750
O: 0.500 0.369 0.750
O: 0.500 0.631 0.250
O: 0.500 0.962 0.250
O: 0.555 0.197 0.946
O: 0.555 0.803 0.446
O: 0.782 0.440 0.877
O: 0.782 0.560 0.377
O: 0.830 0.229 0.688
O: 0.830 0.771 0.188
O: 0.838 0.063 0.851
O: 0.838 0.937 0.351
O: 0.881 0.156 0.172
O: 0.881 0.844 0.672

Space-group type   No. 13


Computed, not measured: an optimized crystal structure of Mo6H24C8N2O19 at the PBE+U level of DFT.

Unit cell a=10.523 b=10.523 c=15.128 alpha=90.00 beta=90.00 gamma=120.00
Fractional coordinates of all 118 atoms:
Mo: 0.083 0.209 0.090
Mo: 0.083 0.873 0.590
Mo: 0.127 0.209 0.590
Mo: 0.127 0.917 0.090
Mo: 0.209 0.083 0.410
Mo: 0.209 0.127 0.910
Mo: 0.791 0.873 0.090
Mo: 0.791 0.917 0.590
Mo: 0.873 0.083 0.910
Mo: 0.873 0.791 0.410
Mo: 0.917 0.127 0.410
Mo: 0.917 0.791 0.910
H: 0.104 0.514 0.372
H: 0.104 0.590 0.872
H: 0.153 0.449 0.874
H: 0.153 0.704 0.374
H: 0.185 0.557 0.776
H: 0.185 0.628 0.276
H: 0.256 0.556 0.504
H: 0.256 0.700 0.004
H: 0.296 0.449 0.374
H: 0.296 0.847 0.874
H: 0.300 0.556 0.004
H: 0.300 0.744 0.504
H: 0.372 0.557 0.276
H: 0.372 0.815 0.776
H: 0.410 0.514 0.872
H: 0.410 0.896 0.372
H: 0.443 0.628 0.776
H: 0.443 0.815 0.276
H: 0.444 0.700 0.504
H: 0.444 0.744 0.004
H: 0.449 0.153 0.626
H: 0.449 0.296 0.126
H: 0.486 0.590 0.372
H: 0.486 0.896 0.872
H: 0.514 0.104 0.128
H: 0.514 0.410 0.628
H: 0.551 0.704 0.874
H: 0.551 0.847 0.374
H: 0.556 0.256 0.996
H: 0.556 0.300 0.496
H: 0.557 0.185 0.724
H: 0.557 0.372 0.224
H: 0.590 0.104 0.628
H: 0.590 0.486 0.128
H: 0.628 0.185 0.224
H: 0.628 0.443 0.724
H: 0.700 0.256 0.496
H: 0.700 0.444 0.996
H: 0.704 0.153 0.126
H: 0.704 0.551 0.626
H: 0.744 0.300 0.996
H: 0.744 0.444 0.496
H: 0.815 0.372 0.724
H: 0.815 0.443 0.224
H: 0.847 0.296 0.626
H: 0.847 0.551 0.126
H: 0.896 0.410 0.128
H: 0.896 0.486 0.628
C: 0.182 0.558 0.849
C: 0.182 0.625 0.349
C: 0.333 0.667 0.481
C: 0.333 0.667 0.981
C: 0.375 0.558 0.349
C: 0.375 0.818 0.849
C: 0.442 0.625 0.849
C: 0.442 0.818 0.349
C: 0.558 0.182 0.651
C: 0.558 0.375 0.151
C: 0.625 0.182 0.151
C: 0.625 0.442 0.651
C: 0.667 0.333 0.019
C: 0.667 0.333 0.519
C: 0.818 0.375 0.651
C: 0.818 0.442 0.151
N: 0.333 0.667 0.382
N: 0.333 0.667 0.882
N: 0.667 0.333 0.118
N: 0.667 0.333 0.618
O: 0.000 0.000 0.000
O: 0.000 0.000 0.500
O: 0.045 0.275 0.498
O: 0.045 0.769 0.998
O: 0.065 0.170 0.856
O: 0.065 0.895 0.356
O: 0.105 0.170 0.356
O: 0.105 0.935 0.856
O: 0.141 0.364 0.154
O: 0.141 0.777 0.654
O: 0.170 0.065 0.644
O: 0.170 0.105 0.144
O: 0.223 0.364 0.654
O: 0.223 0.859 0.154
O: 0.231 0.275 0.998
O: 0.231 0.955 0.498
O: 0.275 0.045 0.002
O: 0.275 0.231 0.502
O: 0.364 0.141 0.346
O: 0.364 0.223 0.846
O: 0.636 0.777 0.154
O: 0.636 0.859 0.654
O: 0.725 0.769 0.498
O: 0.725 0.955 0.998
O: 0.769 0.045 0.502
O: 0.769 0.725 0.002
O: 0.777 0.141 0.846
O: 0.777 0.636 0.346
O: 0.830 0.895 0.856
O: 0.830 0.935 0.356
O: 0.859 0.223 0.346
O: 0.859 0.636 0.846
O: 0.895 0.065 0.144
O: 0.895 0.830 0.644
O: 0.935 0.105 0.644
O: 0.935 0.830 0.144
O: 0.955 0.231 0.002
O: 0.955 0.725 0.502

Space-group type   No. 165


Formation energy from the elements
In order: -2044, -1418, -523, -1059, -943
Unit: meV per atom
Final energy
In order: -92.82, -73.16, -178.22, -76.87, -354.39
Unit: eV/f.u.